Record 1
Here is crystalline RbAl11O17 at its relaxed geometry from Materials Project. Energies are from PBE. Values from VASP.

Cell and atoms, written as Quantum ESPRESSO input:
```
&SYSTEM
  ibrav = 0, nat = 58, ntyp = 3
/
ATOMIC_SPECIES
Rb 85.47 Rb.upf
Al 26.98 Al.upf
O 16.00 O.upf
CELL_PARAMETERS angstrom
5.655 0.000 0.000
-2.827 4.897 0.000
0.000 0.000 23.053
ATOMIC_POSITIONS crystal
Rb 0.333 0.667 0.250
Rb 0.667 0.333 0.750
Al 0.000 0.000 0.000
Al 0.000 0.000 0.500
Al 0.167 0.335 0.106
Al 0.167 0.335 0.394
Al 0.167 0.833 0.106
Al 0.167 0.833 0.394
Al 0.333 0.667 0.525
Al 0.333 0.667 0.675
Al 0.333 0.667 0.825
Al 0.333 0.667 0.975
Al 0.335 0.167 0.606
Al 0.335 0.167 0.894
Al 0.665 0.833 0.106
Al 0.665 0.833 0.394
Al 0.667 0.333 0.025
Al 0.667 0.333 0.175
Al 0.667 0.333 0.325
Al 0.667 0.333 0.475
Al 0.833 0.167 0.606
Al 0.833 0.167 0.894
Al 0.833 0.665 0.606
Al 0.833 0.665 0.894
O 0.000 0.000 0.140
O 0.000 0.000 0.360
O 0.000 0.000 0.640
O 0.000 0.000 0.860
O 0.004 0.502 0.144
O 0.004 0.502 0.356
O 0.157 0.314 0.549
O 0.157 0.314 0.951
O 0.157 0.843 0.549
O 0.157 0.843 0.951
O 0.314 0.157 0.049
O 0.314 0.157 0.451
O 0.333 0.667 0.055
O 0.333 0.667 0.445
O 0.333 0.667 0.750
O 0.498 0.502 0.144
O 0.498 0.502 0.356
O 0.498 0.996 0.144
O 0.498 0.996 0.356
O 0.502 0.004 0.644
O 0.502 0.004 0.856
O 0.502 0.498 0.644
O 0.502 0.498 0.856
O 0.667 0.333 0.250
O 0.667 0.333 0.555
O 0.667 0.333 0.945
O 0.686 0.843 0.549
O 0.686 0.843 0.951
O 0.843 0.157 0.049
O 0.843 0.157 0.451
O 0.843 0.686 0.049
O 0.843 0.686 0.451
O 0.996 0.498 0.644
O 0.996 0.498 0.856
```

Properties
- Space-group type: P6_3/mmc (194)
- Mass density: 3.40 g/cm³

---

Record 2
Here is crystalline RbAlO2 at its relaxed geometry from Materials Project. Energies are from PBE. Values from VASP.

Cell and atoms, written as Quantum ESPRESSO input:
```
&SYSTEM
  ibrav = 0, nat = 8, ntyp = 3
/
ATOMIC_SPECIES
Rb 85.47 Rb.upf
Al 26.98 Al.upf
O 16.00 O.upf
CELL_PARAMETERS angstrom
0.000 4.057 4.057
4.057 0.000 4.057
4.057 4.057 0.000
ATOMIC_POSITIONS crystal
Rb 0.125 0.125 0.125
Rb 0.875 0.875 0.875
Al 0.375 0.375 0.375
Al 0.625 0.625 0.625
O 0.000 0.500 0.500
O 0.500 0.000 0.500
O 0.500 0.500 0.000
O 0.500 0.500 0.500
```

Properties
- Space-group type: Fd-3m (227)
- Mass density: 3.59 g/cm³

---

Number 1: E_form -97.93 eV/f.u.. Number 2: E_form -11.44 eV/f.u..